Entry 1:
Density functional theory data (PBE+U) for an optimized crystal structure of NiPtO2.

Calculated values
The total energy is -0.3973 Ry per atom. The calculation puts the calculated formation energy at -946.9 meV/atom.

a = 2.9233 Å, b = 2.9233 Å, c = 18.2403 Å
α = 90.00°, β = 90.00°, γ = 120.00°
With the nearest neighbours (Å) after each atom.
Space group R-3m (No. 166, hexagonal axes)
Symmetry-distinct sites (fractional):
Ni (0.0000, 0.0000, 0.0000) (multiplicity 3)  6 O 2.00
Pt (0.0000, 0.0000, 0.5000) (multiplicity 3)  2 O 1.96
O (0.0000, 0.0000, 0.3925) (multiplicity 6)  1 Pt 1.96, 3 Ni 2.00

Entry 2:
Density functional theory data (PBE+U) for an optimized crystal structure of Sm2NiPtO6.

Calculated values
The total energy is -0.5107 Ry per atom. The calculation puts the calculated formation energy at -2516.5 meV/atom.

a = 5.4286 Å, b = 5.7871 Å, c = 9.4863 Å
α = 90.00°, β = 124.83°, γ = 90.00°
With the nearest neighbours (Å) after each atom.
Space group P2_1/c (No. 14)
Symmetry-distinct sites (fractional):
Sm (0.2274, 0.0716, 0.2490) (multiplicity 4)  6 O 2.31-2.56
Ni (0.0000, 0.0000, 0.5000) (multiplicity 2)  6 O 2.06-2.10
Pt (0.5000, 0.0000, 0.0000) (multiplicity 2)  6 O 2.05-2.06
O (0.1378, 0.1953, 0.9451) (multiplicity 4)  1 Pt 2.06, 1 Ni 2.09
O (0.2531, 0.7008, 0.9416) (multiplicity 4)  1 Pt 2.06, 1 Ni 2.10
O (0.3634, 0.0393, 0.7505) (multiplicity 4)  1 Pt 2.05, 1 Ni 2.06

Entry 3:
Density functional theory data (PBE+U) for an optimized crystal structure of Rb3NiO2.

Calculated values
The total energy is -0.2586 Ry per atom. The calculation puts the calculated formation energy at -1067.6 meV/atom.

a = 6.3392 Å, b = 6.3392 Å, c = 14.9013 Å
α = 89.90°, β = 89.96°, γ = 89.98°
With the nearest neighbours (Å) after each atom.
Space group P1 (No. 1)
Symmetry-distinct sites (fractional):
Rb (0.0000, 0.0000, 0.0000) (multiplicity 1)  4 O 2.91-2.98
Rb (0.0024, 0.0391, 0.2508) (multiplicity 1)  4 O 2.91-2.98
Rb (0.0248, 0.5640, 0.3760) (multiplicity 1)  2 O 2.71
Rb (0.4385, 0.0640, 0.6261) (multiplicity 1)  2 O 2.71-2.72
Rb (0.4613, 0.5390, 0.7522) (multiplicity 1)  4 O 2.92-2.99
Rb (0.4628, 0.5006, 0.0016) (multiplicity 1)  4 O 2.93-2.99
Rb (0.5000, 0.5412, 0.5028) (multiplicity 1)  4 O 2.91-2.98
Rb (0.5020, 0.5025, 0.2524) (multiplicity 1)  4 O 2.91-2.98
Rb (0.5247, 0.9775, 0.1268) (multiplicity 1)  2 O 2.72
Rb (0.9384, 0.4776, 0.8768) (multiplicity 1)  2 O 2.71
Rb (0.9611, 0.0025, 0.7506) (multiplicity 1)  4 O 2.92-2.99
Rb (0.9627, 0.0412, 0.5011) (multiplicity 1)  4 O 2.92-2.99
Ni (0.4780, 0.0172, 0.8767) (multiplicity 1)  2 O 1.80
Ni (0.4855, 0.0246, 0.3762) (multiplicity 1)  2 O 1.80
Ni (0.9783, 0.5247, 0.6263) (multiplicity 1)  2 O 1.80
Ni (0.9854, 0.5172, 0.1267) (multiplicity 1)  2 O 1.80
O (0.1765, 0.7263, 0.6164) (multiplicity 1)  1 Ni 1.80
O (0.1867, 0.7154, 0.1366) (multiplicity 1)  1 Ni 1.80
O (0.2762, 0.2155, 0.8671) (multiplicity 1)  1 Ni 1.80
O (0.2868, 0.2259, 0.3858) (multiplicity 1)  1 Ni 1.80
O (0.6764, 0.8153, 0.8863) (multiplicity 1)  1 Ni 1.80
O (0.6869, 0.8260, 0.3665) (multiplicity 1)  1 Ni 1.80
O (0.7765, 0.3264, 0.6355) (multiplicity 1)  1 Ni 1.80
O (0.7869, 0.3159, 0.1173) (multiplicity 1)  1 Ni 1.80

Entry 4:
Density functional theory data (PBE+U) for an optimized crystal structure of RbNiO2.

Calculated values
The total energy is -0.3084 Ry per atom. The calculation puts the calculated formation energy at -1011.1 meV/atom.

a = 8.4560 Å, b = 8.4560 Å, c = 8.4560 Å
α = 90.00°, β = 90.00°, γ = 90.00°
With the nearest neighbours (Å) after each atom.
Space group Fd-3m (No. 227, origin choice 2)
Symmetry-distinct sites (fractional):
Rb (0.1250, 0.1250, 0.1250) (multiplicity 8)  12 O 3.51, 4 Ni 3.66, 4 Rb 3.66
Ni (0.1250, 0.1250, 0.6250) (multiplicity 8)  4 O 1.83
O (0.0000, 0.0000, 0.5000) (multiplicity 16)  2 Ni 1.83

Entry 5:
Density functional theory data (PBE+U) for an optimized crystal structure of RbNiO3.

Calculated values
The total energy is -0.2978 Ry per atom. The calculation puts the calculated formation energy at -650.8 meV/atom.

a = 4.0519 Å, b = 4.0519 Å, c = 4.0519 Å
α = 90.00°, β = 90.00°, γ = 90.00°
With the nearest neighbours (Å) after each atom.
Space group Pm-3m (No. 221)
Symmetry-distinct sites (fractional):
Rb (0.0000, 0.0000, 0.0000) (multiplicity 1)  12 O 2.87
Ni (0.5000, 0.5000, 0.5000) (multiplicity 1)  6 O 2.03
O (0.0000, 0.5000, 0.5000) (multiplicity 3)  2 Ni 2.03

Entry 6:
Density functional theory data (PBE+U) for an optimized crystal structure of Rb2Ni2O3.

Calculated values
The total energy is -0.3067 Ry per atom. The calculation puts the calculated formation energy at -1140.6 meV/atom.

a = 11.7108 Å, b = 6.1539 Å, c = 7.9690 Å
α = 90.00°, β = 90.00°, γ = 90.00°
With the nearest neighbours (Å) after each atom.
Space group Pnma (No. 62)
Symmetry-distinct sites (fractional):
Rb (0.0627, 0.2500, 0.1286) (multiplicity 4)  5 O 2.92-2.93
Rb (0.1246, 0.7500, 0.4940) (multiplicity 4)  5 O 2.90-3.19
Ni (0.1475, 0.2500, 0.7158) (multiplicity 4)  3 O 1.85-1.86
Ni (0.2259, 0.7500, 0.9100) (multiplicity 4)  3 O 1.86-1.87
O (0.1229, 0.2500, 0.4849) (multiplicity 4)  2 Ni 1.86-1.87
O (0.1487, 0.9995, 0.8435) (multiplicity 8)  2 Ni 1.85-1.86

Entry 7:
Density functional theory data (PBE+U) for an optimized crystal structure of Rb3NiO2.

Calculated values
The total energy is -0.2586 Ry per atom. The calculation puts the calculated formation energy at -1067.8 meV/atom.

a = 6.3375 Å, b = 6.3375 Å, c = 7.5706 Å
α = 90.00°, β = 90.00°, γ = 90.00°
With the nearest neighbours (Å) after each atom.
Space group P4_2/mnm (No. 136)
Symmetry-distinct sites (fractional):
Rb (0.0000, 0.0000, 0.0000) (multiplicity 2)  2 O 2.69
Rb (0.0000, 0.5000, 0.2500) (multiplicity 4)  4 O 2.97
Ni (0.0000, 0.0000, 0.5000) (multiplicity 2)  2 O 1.79
O (0.2000, 0.2000, 0.5000) (multiplicity 4)  1 Ni 1.79

Entry 8:
Density functional theory data (PBE+U) for an optimized crystal structure of Rb2NiS2O14.

Calculated values
The total energy is -0.3500 Ry per atom. The calculation puts the calculated formation energy at -912.9 meV/atom.

a = 6.2871 Å, b = 12.8898 Å, c = 8.7157 Å
α = 90.00°, β = 102.80°, γ = 90.00°
With the nearest neighbours (Å) after each atom.
Space group P2_1/c (No. 14)
Symmetry-distinct sites (fractional):
Rb (0.1603, 0.1558, 0.3620) (multiplicity 4)  6 O 2.89-3.21
Ni (0.5000, 0.0000, 0.0000) (multiplicity 2)  6 O 1.82-1.83
S (0.2487, 0.6399, 0.8986) (multiplicity 4)  4 O 1.46-1.52
O (0.0895, 0.7255, 0.8979) (multiplicity 4)  1 S 1.49
O (0.1391, 0.5691, 0.7652) (multiplicity 4)  1 S 1.52
O (0.2295, 0.5450, 0.5109) (multiplicity 4)  1 Ni 1.82
O (0.2764, 0.5760, 0.0432) (multiplicity 4)  1 S 1.48
O (0.3353, 0.0996, 0.8781) (multiplicity 4)  1 Ni 1.83, 1 O 2.05
O (0.4094, 0.1000, 0.1190) (multiplicity 4)  1 Ni 1.82
O (0.4571, 0.6801, 0.8755) (multiplicity 4)  1 S 1.46